Record 1
Density functional theory data (PBE+U) for a relaxed KNdHfFeO6 crystal.

Cell and atoms, written as extended XYZ:
```
10
Lattice="4.203 2.568 -2.771 -1.094 4.471 -3.279 1.698 5.152 1.587" Properties=species:S:1:pos:R:3 pbc="T T T"
O 2.764 6.579 -4.187
Hf 2.403 6.095 -2.232
O 4.195 6.927 -1.695
O 1.482 7.902 -1.955
O 3.325 4.289 -2.508
Fe 0.000 0.000 0.000
Nd 1.202 3.048 -1.116
O 2.042 5.612 -0.276
K 3.605 9.143 -3.348
O 0.612 5.264 -2.768
```

Computed properties:
electronic total energy = -7.51 eV per atom
E_form = -2.75 eV per atom


Record 2
Density functional theory data (PBE+U) for a relaxed HfMg6FeO8 crystal.

Cell and atoms, written as extended XYZ:
```
16
Lattice="-3.322 1.685 2.199 -2.763 -1.769 -2.819 -0.406 -7.293 4.974" Properties=species:S:1:pos:R:3 pbc="T T T"
Mg -1.766 -1.048 2.389
O -1.661 0.842 1.099
O -3.146 -1.907 0.962
O -0.300 -5.381 3.670
O -3.345 -5.470 3.392
Mg -1.962 -4.560 4.784
Mg -3.246 -3.689 2.177
Hf -3.043 -0.042 -0.310
Mg -1.487 -2.775 -0.120
O -0.107 -1.912 1.304
O -1.864 -2.804 3.586
O -1.585 -4.531 1.077
Mg -1.682 -6.287 2.275
Mg -0.203 -3.646 2.487
Fe 0.000 0.000 0.000
O -1.381 -0.884 -1.410
```

Computed properties:
electronic total energy = -6.40 eV per atom
E_form = -2.66 eV per atom
distance to the lowest polymorph of the same formula = 0.00 eV/f.u.


Record 3
Density functional theory data (PBE+U) for a relaxed HfMg6FeO8 crystal.

Cell and atoms, written as extended XYZ:
```
16
Lattice="-1.024 -6.519 -5.985 3.423 1.492 -2.211 2.620 -2.554 2.333" Properties=species:S:1:pos:R:3 pbc="T T T"
O 1.711 0.746 -1.106
O 0.798 -4.537 -1.826
O 2.253 -5.425 -4.432
Mg 0.522 -6.296 -3.442
O 2.766 -2.156 -1.431
Mg 0.923 -4.273 -5.714
Mg 1.476 -0.754 -2.483
O -0.275 -1.750 -1.606
Mg 1.075 -2.777 -0.210
O 1.199 -2.514 -4.098
Hf -0.512 -3.260 -2.993
O 1.310 -1.277 1.167
Mg 2.510 -3.790 -2.932
Mg 3.022 -0.531 0.061
Fe 0.000 0.000 0.000
O -0.749 -4.770 -4.379
```

Computed properties:
electronic total energy = -6.40 eV per atom
E_form = -2.66 eV per atom
distance to the lowest polymorph of the same formula = 0.06 eV/f.u.


Record 4
Density functional theory data (PBE+U) for a relaxed Rb5HfFeMo6O24 crystal.

Cell and atoms, written as extended XYZ:
```
74
Lattice="-9.538 -2.429 2.801 7.977 -4.492 4.574 0.248 11.124 10.492" Properties=species:S:1:pos:R:3 pbc="T T T"
Rb -6.454 6.275 10.386
O -0.526 -4.380 5.374
Rb 0.126 5.674 5.352
Rb -3.558 3.255 9.401
O -6.123 3.939 7.832
O -2.029 -2.271 3.591
O 1.808 -0.503 9.411
O -2.995 -1.498 6.869
O 0.616 2.045 10.098
O -2.234 6.050 13.705
O 3.481 1.474 10.636
O -4.893 -1.700 3.053
O -7.471 -0.652 4.008
Fe -3.623 0.330 6.643
O -5.194 -0.397 5.753
Mo 2.511 5.218 9.030
Rb 1.905 1.277 4.341
O -4.323 2.142 6.416
O -0.059 -0.955 5.369
O -5.471 3.631 11.780
Hf 2.256 1.460 8.948
Rb -0.868 6.561 9.950
O 3.872 4.237 11.772
Rb 2.156 -2.995 4.746
O -1.281 3.942 11.351
Mo -1.375 -0.670 4.218
O 6.103 2.427 11.569
O -3.686 0.734 11.173
Mo 4.722 5.039 15.073
Mo -4.150 -0.516 10.025
O -2.737 0.344 4.910
Rb -0.442 -2.192 8.074
Mo -3.871 -3.108 6.862
O -4.140 -3.680 5.134
Hf -3.459 7.709 13.603
O -2.820 -1.674 9.965
O -0.896 3.738 7.922
O 4.701 -4.581 5.464
Mo 0.015 2.780 11.674
O 1.673 5.339 10.656
Mo 4.376 2.479 11.890
O 1.415 3.497 12.615
O -0.686 0.250 2.890
O 1.470 6.023 7.865
O 2.490 -3.294 7.789
Rb -3.216 3.093 13.683
Rb 0.002 0.112 0.106
O -4.465 0.267 8.407
Mo -0.686 2.243 7.018
O 0.779 6.117 13.227
O -3.048 8.047 11.607
Mo 2.921 8.518 11.426
O -3.831 6.282 8.931
O 2.264 -1.377 2.124
O 2.727 3.454 8.555
O -0.721 2.673 5.307
Rb 5.144 -1.905 7.638
Mo -5.737 -0.369 4.002
O -2.838 -4.248 7.711
O 3.218 6.942 12.295
O 6.031 4.937 13.894
O -2.026 1.092 7.474
Mo -0.543 5.759 14.433
O -0.682 1.524 12.686
O -5.149 6.594 13.197
O 3.076 5.067 14.286
O 0.995 1.494 7.312
O -0.537 4.076 14.961
O 3.910 0.950 7.821
Mo -5.951 2.964 6.378
O -7.288 1.812 6.374
O 4.130 -0.644 4.940
O 1.563 8.423 10.303
Fe 2.339 5.205 12.480
```

Computed properties:
electronic total energy = -6.79 eV per atom
E_form = -2.22 eV per atom


Record 5
Density functional theory data (PBE+U) for a relaxed HfTl2Fe2Mo6O24 crystal.

Cell and atoms, written as extended XYZ:
```
35
Lattice="-0.652 -6.526 -5.673 -0.806 -4.329 7.473 -7.958 3.382 -0.682" Properties=species:S:1:pos:R:3 pbc="T T T"
O -5.874 -2.763 -2.734
O -8.491 -3.812 -3.510
O -4.647 -0.409 -1.574
O -3.623 -5.561 -2.376
O -0.925 -3.662 4.629
O -3.018 -2.702 -2.085
Mo -4.017 -7.457 1.102
O -1.665 -3.787 1.794
O -5.793 -1.913 3.495
O -2.914 -1.814 3.543
O -3.542 -4.711 3.853
O -1.164 -4.662 -0.956
Fe -4.305 -1.572 -3.177
O -8.030 -3.094 4.966
Tl -7.889 -6.278 0.938
O -8.252 -2.812 2.074
Mo -7.150 -3.976 -2.401
O -4.769 -7.064 2.693
Mo -2.266 -3.497 3.519
Tl -1.527 -1.195 0.181
O -7.751 -3.687 -0.675
O -3.699 -9.172 0.964
Mo -2.298 -4.351 -2.363
O -5.717 1.698 0.155
O -5.129 -6.906 -0.228
Mo -5.399 -0.016 0.017
O -1.386 -4.379 -3.847
Mo -7.118 -3.123 3.482
O -2.461 -6.533 0.911
O -6.955 -0.941 0.208
O -6.398 -4.771 3.203
O -4.287 -0.567 1.347
Hf -0.729 -5.428 0.900
Fe -4.382 -0.474 3.396
O -6.502 -5.660 -2.424
```

Computed properties:
electronic total energy = -7.06 eV per atom
E_form = -2.05 eV per atom


Record 6
Density functional theory data (PBE+U) for a relaxed SrSmHfFeO6 crystal.

Cell and atoms, written as extended XYZ:
```
10
Lattice="0.000 -4.028 -4.028 4.028 0.000 -4.028 4.028 -4.028 0.000" Properties=species:S:1:pos:R:3 pbc="T T T"
Sm 6.043 -6.043 -6.043
O 4.028 -6.070 -4.028
O 4.028 -4.028 -6.070
Sr 2.014 -2.014 -2.014
Fe 0.000 0.000 0.000
Hf 4.028 -4.028 -4.028
O 4.028 -4.028 -1.987
O 4.028 -1.987 -4.028
O 6.070 -4.028 -4.028
O 1.987 -4.028 -4.028
```

Computed properties:
electronic total energy = -7.95 eV per atom
E_form = -3.14 eV per atom


Record 7
Density functional theory data (PBE+U) for a relaxed Fe2HgO4 crystal.

Cell and atoms, written as extended XYZ:
```
14
Lattice="-2.089 2.885 5.206 -3.022 -5.063 -2.209 2.691 -5.696 0.392" Properties=species:S:1:pos:R:3 pbc="T T T"
Hg -1.595 -7.611 1.664
Hg -0.824 -0.264 1.725
O 0.557 -4.634 0.877
O -0.583 -3.501 3.613
O -2.976 -3.240 2.513
O -0.634 -7.310 -0.335
Fe -2.253 -2.495 4.297
Fe -3.765 -5.025 3.193
O -0.564 -2.240 0.707
Fe -1.211 -3.937 1.695
Fe 1.179 -8.227 -0.713
O -1.857 -5.634 2.682
O -1.786 -0.564 3.723
O -1.837 -4.373 -0.224
```

Computed properties:
electronic total energy = -5.62 eV per atom
E_form = -1.36 eV per atom


Record 8
Density functional theory data (PBE+U) for a relaxed Ho2FeMoO7 crystal.

Cell and atoms, written as extended XYZ:
```
22
Lattice="-1.553 -3.896 -5.839 0.447 -7.177 0.303 -6.082 -3.891 -0.046" Properties=species:S:1:pos:R:3 pbc="T T T"
Ho -0.776 -1.948 -2.919
O -3.109 -10.778 -4.729
O -6.317 -9.296 -4.777
O -0.787 -1.718 -0.673
Ho 0.223 -3.589 0.152
Ho -3.041 -1.945 -0.023
O -2.605 -9.339 -2.037
O -3.621 -7.177 -0.549
Ho -3.594 -7.482 -2.791
Mo 0.000 0.000 0.000
O -1.472 -7.185 -3.331
O -5.716 -7.779 -2.251
O -4.079 -4.186 -0.852
Mo -0.553 -5.537 -2.768
Fe -2.818 -5.534 0.129
O -5.304 -10.759 -2.130
O -0.871 -5.669 -0.805
O -4.583 -5.626 -3.544
Fe -3.817 -3.894 -2.942
O -3.567 -7.788 -5.032
O -6.401 -13.246 -4.909
O -1.884 -4.205 -3.451
```

Computed properties:
electronic total energy = -7.54 eV per atom
E_form = -2.74 eV per atom